Entry 1:
Material: TaP2H27C9Cl2
Method: DFT, PBE
State: relaxed

a b c (Å): 26.9874 9.7548 14.7774
angles (deg): 90.00 98.00 90.00
Space group C2/c (No. 15)
Inequivalent atoms, fractional coordinates:
Ta 0.1116 0.2050 0.0868 [8 per cell]
P 0.1046 0.4515 0.1707 [8 per cell]
P 0.1711 0.0244 0.0050 [8 per cell]
H 0.0118 0.1262 0.0899 [8 per cell]
H 0.0136 0.3076 0.0824 [8 per cell]
H 0.0218 0.4686 0.6037 [8 per cell]
H 0.0320 0.2239 0.1893 [8 per cell]
H 0.0449 0.0672 0.9496 [8 per cell]
H 0.0446 0.2471 0.9329 [8 per cell]
H 0.0479 0.3992 0.2804 [8 per cell]
H 0.0623 0.3288 0.6402 [8 per cell]
H 0.0694 0.4193 0.5372 [8 per cell]
H 0.0729 0.0594 0.6068 [8 per cell]
H 0.0814 0.4444 0.8091 [8 per cell]
H 0.0889 0.0218 0.2148 [8 per cell]
H 0.0919 0.1476 0.8939 [8 per cell]
H 0.1066 0.1022 0.4071 [8 per cell]
H 0.1120 0.3948 0.3311 [8 per cell]
H 0.1251 0.1886 0.5129 [8 per cell]
H 0.1364 0.0592 0.6626 [8 per cell]
H 0.1525 0.3508 0.7290 [8 per cell]
H 0.1644 0.1936 0.4241 [8 per cell]
H 0.1703 0.1274 0.8553 [8 per cell]
H 0.1731 0.4165 0.6266 [8 per cell]
H 0.1908 0.4987 0.2332 [8 per cell]
H 0.2144 0.1006 0.6362 [8 per cell]
H 0.2166 0.0036 0.3751 [8 per cell]
H 0.2277 0.1607 0.9283 [8 per cell]
H 0.2440 0.1246 0.5360 [8 per cell]
H 0.2477 0.4682 0.9010 [8 per cell]
C 0.0332 0.2176 0.1151 [8 per cell]
C 0.0601 0.4298 0.6068 [8 per cell]
C 0.0692 0.1576 0.9498 [8 per cell]
C 0.0842 0.4504 0.2837 [8 per cell]
C 0.1019 0.0011 0.1485 [8 per cell]
C 0.1385 0.1302 0.4578 [8 per cell]
C 0.1610 0.4439 0.6921 [8 per cell]
C 0.1992 0.0830 0.9063 [8 per cell]
C 0.2256 0.0496 0.5760 [8 per cell]
Cl 0.1533 0.3676 0.9938 [8 per cell]
Cl 0.1858 0.2077 0.2057 [8 per cell]

## Properties
The calculation puts the calculated formation energy at -0.26 eV per atom.

=====

Entry 2:
Material: Sb2H12PdC4Cl4
Method: DFT, PBE
State: relaxed

a b c (Å): 10.2057 10.4561 14.0017
angles (deg): 90.00 105.42 90.00
Space group P2_1/c (No. 14)
Inequivalent atoms, fractional coordinates:
Sb 0.1442 0.2494 0.1131 [4 per cell]
Sb 0.2978 0.5716 0.1065 [4 per cell]
H 0.0415 0.6215 0.3238 [4 per cell]
H 0.0525 0.0112 0.1208 [4 per cell]
H 0.0807 0.6074 0.4580 [4 per cell]
H 0.1981 0.1925 0.8083 [4 per cell]
H 0.2502 0.5378 0.2860 [4 per cell]
H 0.2767 0.1576 0.2913 [4 per cell]
H 0.3009 0.7313 0.4828 [4 per cell]
H 0.3038 0.6996 0.2747 [4 per cell]
H 0.3535 0.1938 0.7688 [4 per cell]
H 0.3657 0.6796 0.6102 [4 per cell]
H 0.4280 0.5721 0.3008 [4 per cell]
H 0.4718 0.7287 0.0500 [4 per cell]
Pd 0.1215 0.0691 0.4895 [4 per cell]
C 0.0020 0.6027 0.3880 [4 per cell]
C 0.2580 0.2431 0.7658 [4 per cell]
C 0.3235 0.5985 0.2629 [4 per cell]
C 0.3682 0.7460 0.0555 [4 per cell]
Cl 0.0422 0.7104 0.1132 [4 per cell]
Cl 0.0949 0.5880 0.8603 [4 per cell]
Cl 0.3022 0.1132 0.0585 [4 per cell]
Cl 0.4898 0.5457 0.8665 [4 per cell]

## Properties
The calculation puts the calculated formation energy at -0.39 eV per atom.